No. 1
# Fe2B2O5

A relaxed structure of Fe2B2O5 (r2SCAN, the Materials Project database).

## Properties
E_tot = -10.160 eV per atom
energy of formation = -1742 kJ/mol of formula units
total magnetization = 16.0 μB/cell

Cell: 3.212 6.180 9.302 Å, 104.31 90.26 91.57°
Sites, in units of the cell vectors:
1 Fe 0.759 0.637 0.899
2 Fe 0.241 0.363 0.101
3 Fe 0.249 0.795 0.641
4 Fe 0.751 0.205 0.359
5 B 0.657 0.127 0.832
6 B 0.343 0.873 0.168
7 B 0.302 0.323 0.645
8 B 0.698 0.677 0.355
9 O 0.234 0.087 0.178
10 O 0.744 0.311 0.943
11 O 0.256 0.689 0.057
12 O 0.766 0.913 0.822
13 O 0.746 0.473 0.260
14 O 0.238 0.277 0.497
15 O 0.567 0.856 0.297
16 O 0.433 0.144 0.703
17 O 0.762 0.723 0.503
18 O 0.254 0.527 0.740

=====

No. 2
# Nd2MgGe2

A relaxed structure of Nd2MgGe2 (r2SCAN, the Materials Project database).

## Properties
E_tot = -19.011 eV per atom
energy of formation = -415 kJ/mol of formula units
total magnetization = 0.0 μB/cell

Cell: 7.461 7.461 4.389 Å, 90.00 90.00 90.00°
Sites, in units of the cell vectors:
1 Nd 0.679 0.179 0.500
2 Nd 0.321 0.821 0.500
3 Nd 0.179 0.321 0.500
4 Nd 0.821 0.679 0.500
5 Mg 0.500 0.500 0.000
6 Mg 0.000 0.000 0.000
7 Ge 0.880 0.380 0.000
8 Ge 0.120 0.620 0.000
9 Ge 0.380 0.120 0.000
10 Ge 0.620 0.880 0.000